1.
Material: HoNi4Au
Method: DFT, PBE-GGA
State: relaxed

a = 4.924 Å, b = 4.924 Å, c = 4.924 Å
α = 60.00°, β = 60.00°, γ = 60.00°
Fractional coordinates of all 6 atoms:
1 Ho 0.000 0.000 0.000
2 Ni 0.126 0.625 0.625
3 Ni 0.625 0.126 0.625
4 Ni 0.625 0.625 0.126
5 Ni 0.625 0.625 0.625
6 Au 0.250 0.250 0.250

Energy relative to the elements in kcal/mol of atoms: -9.2

2.
Material: Pm3Sc
Method: DFT, PBE-GGA
State: relaxed

a = 7.219 Å, b = 7.219 Å, c = 5.718 Å
α = 90.00°, β = 90.00°, γ = 120.00°
Fractional coordinates of all 8 atoms:
1 Pm 0.170 0.339 0.250
2 Pm 0.170 0.830 0.250
3 Pm 0.339 0.170 0.750
4 Pm 0.661 0.830 0.250
5 Pm 0.830 0.170 0.750
6 Pm 0.830 0.661 0.750
7 Sc 0.333 0.667 0.750
8 Sc 0.667 0.333 0.250

Energy relative to the elements in kcal/mol of atoms: 1.0

3.
Material: CsGa2P5O16
Method: DFT, PBE-GGA
State: relaxed

a = 7.559 Å, b = 9.370 Å, c = 10.358 Å
α = 90.00°, β = 112.27°, γ = 90.00°
Fractional coordinates of all 48 atoms:
1 Cs 0.000 0.196 0.000
2 Cs 0.000 0.804 0.500
3 Ga 0.376 0.139 0.784
4 Ga 0.376 0.861 0.284
5 Ga 0.934 0.369 0.392
6 Ga 0.934 0.631 0.892
7 P 0.123 0.415 0.726
8 P 0.123 0.585 0.226
9 P 0.283 0.127 0.453
10 P 0.283 0.873 0.953
11 P 0.520 0.455 0.765
12 P 0.520 0.545 0.265
13 P 0.573 0.296 0.127
14 P 0.573 0.704 0.627
15 P 0.618 0.139 0.382
16 P 0.618 0.861 0.882
17 O 0.011 0.467 0.811
18 O 0.011 0.533 0.311
19 O 0.044 0.460 0.573
20 O 0.044 0.540 0.073
21 O 0.153 0.254 0.746
22 O 0.153 0.746 0.246
23 O 0.158 0.259 0.405
24 O 0.158 0.741 0.905
25 O 0.232 0.012 0.339
26 O 0.232 0.988 0.839
27 O 0.299 0.065 0.593
28 O 0.299 0.935 0.093
29 O 0.333 0.493 0.795
30 O 0.333 0.507 0.295
31 O 0.477 0.231 0.987
32 O 0.477 0.769 0.487
33 O 0.488 0.456 0.123
34 O 0.488 0.544 0.623
35 O 0.497 0.217 0.235
36 O 0.497 0.783 0.735
37 O 0.501 0.181 0.474
38 O 0.501 0.819 0.974
39 O 0.522 0.298 0.736
40 O 0.522 0.702 0.236
41 O 0.611 0.021 0.855
42 O 0.611 0.979 0.355
43 O 0.691 0.482 0.380
44 O 0.691 0.518 0.880
45 O 0.789 0.298 0.191
46 O 0.789 0.702 0.691
47 O 0.817 0.199 0.448
48 O 0.817 0.801 0.948

Energy relative to the elements in kcal/mol of atoms: -60.3
Size of the total moment in μB/f.u.: 0.00

4.
Material: AlH7C2SCl4
Method: DFT, PBE-GGA
State: relaxed

a = 15.321 Å, b = 11.465 Å, c = 13.095 Å
α = 90.00°, β = 90.49°, γ = 90.00°
Fractional coordinates of all 120 atoms:
1 Al 0.124 0.229 0.101
2 Al 0.124 0.271 0.601
3 Al 0.376 0.730 0.971
4 Al 0.376 0.770 0.471
5 Al 0.624 0.230 0.529
6 Al 0.624 0.270 0.029
7 Al 0.876 0.729 0.399
8 Al 0.876 0.771 0.899
9 H 0.017 0.647 0.148
10 H 0.017 0.853 0.648
11 H 0.098 0.661 0.690
12 H 0.098 0.839 0.190
13 H 0.103 0.672 0.553
14 H 0.103 0.828 0.053
15 H 0.110 0.650 0.311
16 H 0.110 0.850 0.811
17 H 0.126 0.505 0.261
18 H 0.126 0.995 0.761
19 H 0.199 0.697 0.629
20 H 0.199 0.803 0.129
21 H 0.213 0.609 0.254
22 H 0.213 0.891 0.754
23 H 0.278 0.113 0.346
24 H 0.278 0.387 0.846
25 H 0.331 0.184 0.792
26 H 0.331 0.316 0.292
27 H 0.348 0.118 0.171
28 H 0.348 0.382 0.671
29 H 0.358 0.190 0.927
30 H 0.358 0.310 0.427
31 H 0.386 0.518 0.725
32 H 0.386 0.982 0.225
33 H 0.443 0.200 0.834
34 H 0.443 0.300 0.334
35 H 0.460 0.103 0.212
36 H 0.460 0.397 0.712
37 H 0.540 0.603 0.288
38 H 0.540 0.897 0.788
39 H 0.557 0.700 0.666
40 H 0.557 0.800 0.166
41 H 0.614 0.018 0.775
42 H 0.614 0.482 0.275
43 H 0.642 0.690 0.573
44 H 0.642 0.810 0.073
45 H 0.652 0.618 0.329
46 H 0.652 0.882 0.829
47 H 0.669 0.684 0.708
48 H 0.669 0.816 0.208
49 H 0.722 0.613 0.154
50 H 0.722 0.887 0.654
51 H 0.787 0.109 0.246
52 H 0.787 0.391 0.746
53 H 0.801 0.197 0.871
54 H 0.801 0.303 0.371
55 H 0.874 0.005 0.239
56 H 0.874 0.495 0.739
57 H 0.890 0.150 0.189
58 H 0.890 0.350 0.689
59 H 0.897 0.172 0.947
60 H 0.897 0.328 0.447
61 H 0.902 0.161 0.810
62 H 0.902 0.339 0.310
63 H 0.983 0.147 0.352
64 H 0.983 0.353 0.852
65 C 0.128 0.705 0.626
66 C 0.128 0.795 0.126
67 C 0.142 0.597 0.253
68 C 0.142 0.903 0.753
69 C 0.375 0.221 0.851
70 C 0.375 0.279 0.351
71 C 0.392 0.077 0.227
72 C 0.392 0.423 0.727
73 C 0.608 0.577 0.273
74 C 0.608 0.923 0.773
75 C 0.625 0.721 0.649
76 C 0.625 0.779 0.149
77 C 0.858 0.097 0.247
78 C 0.858 0.403 0.747
79 C 0.872 0.205 0.874
80 C 0.872 0.295 0.374
81 S 0.104 0.641 0.128
82 S 0.104 0.859 0.628
83 S 0.366 0.122 0.355
84 S 0.366 0.378 0.855
85 S 0.634 0.622 0.145
86 S 0.634 0.878 0.645
87 S 0.896 0.141 0.372
88 S 0.896 0.359 0.872
89 Cl 0.010 0.160 0.619
90 Cl 0.010 0.340 0.119
91 Cl 0.111 0.132 0.961
92 Cl 0.111 0.368 0.461
93 Cl 0.131 0.112 0.231
94 Cl 0.131 0.388 0.731
95 Cl 0.239 0.163 0.598
96 Cl 0.239 0.337 0.098
97 Cl 0.261 0.651 0.899
98 Cl 0.261 0.849 0.399
99 Cl 0.370 0.583 0.454
100 Cl 0.370 0.917 0.954
101 Cl 0.375 0.687 0.132
102 Cl 0.375 0.813 0.632
103 Cl 0.492 0.660 0.902
104 Cl 0.492 0.840 0.402
105 Cl 0.508 0.160 0.598
106 Cl 0.508 0.340 0.098
107 Cl 0.625 0.187 0.368
108 Cl 0.625 0.313 0.868
109 Cl 0.630 0.083 0.046
110 Cl 0.630 0.417 0.546
111 Cl 0.739 0.151 0.601
112 Cl 0.739 0.349 0.101
113 Cl 0.761 0.663 0.902
114 Cl 0.761 0.837 0.402
115 Cl 0.869 0.612 0.269
116 Cl 0.869 0.888 0.769
117 Cl 0.889 0.632 0.539
118 Cl 0.889 0.868 0.039
119 Cl 0.990 0.660 0.881
120 Cl 0.990 0.840 0.381

Energy relative to the elements in kcal/mol of atoms: -19.0
Size of the total moment in μB/f.u.: 0.00